(1)
A geometry-optimized PuZr4C5 structure. Source: the Materials Project database, functional PBE.

a b c (Å): 13.9694 13.9694 13.9694
angles (deg): 13.84 13.84 13.84
Closest atoms and distances in Å follow each position.
Fractional positions:
Pu1 0.0000 0.0000 0.0000  6 C 2.41
Zr1 0.5972 0.5972 0.5972  6 C 2.33-2.43
Zr2 0.1991 0.1991 0.1991  6 C 2.36-2.39
Zr3 0.8009 0.8009 0.8009  6 C 2.36-2.39
Zr4 0.4028 0.4028 0.4028  6 C 2.33-2.43
C1 0.7009 0.7009 0.7009  3 Pu 2.41, 3 Zr 2.43
C2 0.5000 0.5000 0.5000  6 Zr 2.36
C3 0.1006 0.1006 0.1006  6 Zr 2.33-2.39
C4 0.2991 0.2991 0.2991  3 Pu 2.41, 3 Zr 2.43
C5 0.8994 0.8994 0.8994  6 Zr 2.33-2.39

## Properties
Total magnetization: 3.74 μB per formula unit
Space-group type: No. 166
Formation enthalpy at 0 K: -0.62 eV/atom


(2)
A geometry-optimized Pu4ZrC5 structure. Source: the Materials Project database, functional PBE.

a b c (Å): 14.4629 14.4629 14.4629
angles (deg): 13.76 13.76 13.76
Closest atoms and distances in Å follow each position.
Fractional positions:
Pu1 0.1019 0.1019 0.1019  6 C 2.44-2.49
Pu2 0.7001 0.7001 0.7001  6 C 2.46-2.48
Pu3 0.2999 0.2999 0.2999  6 C 2.46-2.48
Pu4 0.8981 0.8981 0.8981  6 C 2.44-2.49
Zr1 0.5000 0.5000 0.5000  6 C 2.43
C1 0.5993 0.5993 0.5993  6 Pu 2.48-2.49
C2 0.0000 0.0000 0.0000  6 Pu 2.46
C3 0.4007 0.4007 0.4007  6 Pu 2.48-2.49
C4 0.1988 0.1988 0.1988  3 Zr 2.43, 3 Pu 2.44
C5 0.8012 0.8012 0.8012  3 Zr 2.43, 3 Pu 2.44

## Properties
Total magnetization: 0.27 μB per formula unit
Space-group type: No. 166
Formation enthalpy at 0 K: 0.40 eV/atom


(3)
A geometry-optimized Rb4C structure. Source: the Materials Project database, functional PBE.

a b c (Å): 8.3185 8.3185 8.3185
angles (deg): 93.91 93.91 149.74
Closest atoms and distances in Å follow each position.
Fractional positions:
Rb1 0.2674 0.5000 0.7674  2 C 3.42, 2 Rb 3.74
Rb2 0.7326 0.5000 0.2326  2 C 3.42, 2 Rb 3.74
Rb3 0.5000 0.2674 0.7674  2 C 3.42, 2 Rb 3.74
Rb4 0.5000 0.7326 0.2326  2 C 3.42, 2 Rb 3.74
C1 0.0000 0.0000 0.0000  8 Rb 3.42

## Properties
Total magnetization: 0.00 μB per formula unit
Space-group type: No. 139
Formation enthalpy at 0 K: 1.01 eV/atom
E above lowest polymorph: 0.0273 eV/atom


(4)
A geometry-optimized Rb4C structure. Source: the Materials Project database, functional PBE.

a b c (Å): 8.6031 8.6031 8.6031
angles (deg): 152.70 107.11 79.47
Closest atoms and distances in Å follow each position.
Fractional positions:
Rb1 0.7455 0.5000 0.2455  2 C 3.30, 2 Rb 3.65
Rb2 0.2545 0.5000 0.7545  2 C 3.30, 2 Rb 3.65
Rb3 0.1931 0.6931 0.5000  2 C 3.26, 2 Rb 3.65
Rb4 0.8069 0.3069 0.5000  2 C 3.26, 2 Rb 3.65
C1 0.0000 0.0000 0.0000  8 Rb 3.26-3.30

## Properties
Total magnetization: 0.00 μB per formula unit
Space-group type: No. 71
Formation enthalpy at 0 K: 0.98 eV/atom
E above lowest polymorph: 0.0000 eV/atom


(5)
A geometry-optimized ReC structure. Source: the Materials Project database, functional PBE.

a b c (Å): 3.2877 3.2877 3.2877
angles (deg): 60.00 60.00 60.00
Closest atoms and distances in Å follow each position.
Fractional positions:
Re1 0.0000 0.0000 0.0000  4 C 2.01
C1 0.2500 0.2500 0.2500  4 Re 2.01

## Properties
Total magnetization: 0.77 μB per formula unit
Space-group type: No. 216
Formation enthalpy at 0 K: 0.75 eV/atom
E above lowest polymorph: 0.5040 eV/atom


(6)
A geometry-optimized ReC structure. Source: the Materials Project database, functional PBE.

a b c (Å): 2.7007 2.7007 2.7007
angles (deg): 90.00 90.00 90.00
Closest atoms and distances in Å follow each position.
Fractional positions:
Re1 0.0000 0.0000 0.0000  8 C 2.34
C1 0.5000 0.5000 0.5000  8 Re 2.34

## Properties
Total magnetization: 0.00 μB per formula unit
Space-group type: No. 221
Formation enthalpy at 0 K: 1.09 eV/atom
E above lowest polymorph: 0.8495 eV/atom


(7)
A geometry-optimized Re2C structure. Source: the Materials Project database, functional PBE.

a b c (Å): 2.8660 2.8660 9.9151
angles (deg): 90.00 90.00 120.00
Closest atoms and distances in Å follow each position.
Fractional positions:
Re1 0.3333 0.6667 0.6084  3 C 2.17
Re2 0.6667 0.3333 0.1084  3 C 2.17
Re3 0.6667 0.3333 0.3916  3 C 2.17
Re4 0.3333 0.6667 0.8916  3 C 2.17
C1 0.3333 0.6667 0.2500  6 Re 2.17
C2 0.6667 0.3333 0.7500  6 Re 2.17

## Properties
Space-group type: No. 194
Formation enthalpy at 0 K: -0.03 eV/atom


(8)
A geometry-optimized ReC structure. Source: the Materials Project database, functional PBE.

a b c (Å): 2.8963 2.8963 11.3173
angles (deg): 90.00 90.00 120.00
Closest atoms and distances in Å follow each position.
Fractional positions:
Re1 0.3333 0.6667 0.8739  6 C 2.18-2.20
Re2 0.6667 0.3333 0.1261  6 C 2.18-2.20
Re3 0.6667 0.3333 0.3739  6 C 2.18-2.20
Re4 0.3333 0.6667 0.6261  6 C 2.18-2.20
C1 0.0000 0.0000 0.5000  6 Re 2.20
C2 0.0000 0.0000 0.0000  6 Re 2.20
C3 0.3333 0.6667 0.2500  6 Re 2.18
C4 0.6667 0.3333 0.7500  6 Re 2.18

## Properties
Total magnetization: 0.00 μB per formula unit
Space-group type: No. 194
Formation enthalpy at 0 K: 0.61 eV/atom
E above lowest polymorph: 0.3707 eV/atom


(9)
A geometry-optimized ReC structure. Source: the Materials Project database, functional PBE.

a b c (Å): 2.8865 2.8865 2.8245
angles (deg): 90.00 90.00 120.00
Closest atoms and distances in Å follow each position.
Fractional positions:
Re1 0.0000 0.0000 0.0000  6 C 2.18
C1 0.3333 0.6667 0.5000  6 Re 2.18

## Properties
Total magnetization: 0.00 μB per formula unit
Space-group type: No. 187
Formation enthalpy at 0 K: 0.24 eV/atom
E above lowest polymorph: 0.0000 eV/atom


(10)
A geometry-optimized Re3C structure. Source: the Materials Project database, functional PBE.

a b c (Å): 4.2585 4.2585 4.2585
angles (deg): 60.00 60.00 60.00
Closest atoms and distances in Å follow each position.
Fractional positions:
Re1 0.2500 0.2500 0.2500  4 Re 2.61, 4 C 2.61
Re2 0.7500 0.7500 0.7500  4 Re 2.61, 4 C 2.61
Re3 0.5000 0.5000 0.5000  8 Re 2.61
C1 0.0000 0.0000 0.0000  8 Re 2.61

## Properties
Total magnetization: 0.00 μB per formula unit
Space-group type: No. 225
Formation enthalpy at 0 K: 1.38 eV/atom


(11)
A geometry-optimized ReC structure. Source: the Materials Project database, functional PBE.

a b c (Å): 3.0848 3.0848 3.0848
angles (deg): 60.00 60.00 60.00
Closest atoms and distances in Å follow each position.
Fractional positions:
Re1 0.0000 0.0000 0.0000  6 C 2.18
C1 0.5000 0.5000 0.5000  6 Re 2.18

## Properties
Total magnetization: 0.04 μB per formula unit
Space-group type: No. 225
Formation enthalpy at 0 K: 0.95 eV/atom
E above lowest polymorph: 0.7029 eV/atom


(12)
A geometry-optimized Sm2Re2Si2C structure. Source: the Materials Project database, functional PBE.

a b c (Å): 5.8926 5.8926 7.0929
angles (deg): 54.97 54.97 40.01
Closest atoms and distances in Å follow each position.
Fractional positions:
Sm1 0.4279 0.4279 0.3028  2 C 2.69
Sm2 0.5721 0.5721 0.6972  2 C 2.69
Re1 0.7947 0.7947 0.0889  1 C 1.95
Re2 0.2053 0.2053 0.9111  1 C 1.95
Si1 0.8546 0.8546 0.6898  3 Re 2.47-2.48, 1 Si 2.65
Si2 0.1454 0.1454 0.3102  3 Re 2.47-2.48, 1 Si 2.65
C1 0.0000 0.0000 0.0000  2 Re 1.95

## Properties
Total magnetization: 0.00 μB per formula unit
Space-group type: No. 12
Formation enthalpy at 0 K: -0.59 eV/atom